1.
Material: Sr2CuCO5
Method: DFT, GGA-PBE
State: optimized geometry

Summary:
Volume, Å³/cell: 950.2
E above lowest polymorph, eV/atom: 0.000

Cell lengths 7.8777, 7.8777, 15.3108 Å; angles 90.00, 90.00, 90.00 degrees
Last column: nearest neighbours and their distance in Å.
Space group I-4 (No. 82)
Unique sites:
Sr  0.0000  0.0000  0.1137 [4 per cell]  8 O 2.54-2.78
Sr  0.0000  0.0000  0.3864 [4 per cell]  6 O 2.55-2.72
Sr  0.0000  0.5000  0.1035 [4 per cell]  8 O 2.57-2.62
Sr  0.0000  0.5000  0.6198 [4 per cell]  6 O 2.59-2.86
Cu  0.2499  0.2501  0.0000 [8 per cell]  4 O 1.97-1.98
C  0.2360  0.2425  0.2511 [8 per cell]  3 O 1.29-1.31
O  0.0002  0.2510  0.5086 [8 per cell]  2 Cu 1.97
O  0.9998  0.2505  0.9905 [8 per cell]  2 Cu 1.97-1.98
O  0.0778  0.7630  0.7579 [8 per cell]  1 C 1.31
O  0.1612  0.7380  0.3174 [8 per cell]  1 C 1.29
O  0.1919  0.7333  0.1709 [8 per cell]  1 C 1.30


2.
Material: ZrTiSiS2O12
Method: DFT, GGA-PBE
State: optimized geometry

Summary:
Volume, Å³/cell: 1555.0

Cell lengths 8.8567, 8.8682, 22.8516 Å; angles 90.00, 90.14, 119.96 degrees
Last column: nearest neighbours and their distance in Å.
Space group P1 (No. 1)
Unique sites:
Zr  0.0000  0.0000  0.0000 [1 per cell]  4 O 1.94-2.17
Zr  0.0011  0.9989  0.4920 [1 per cell]  3 O 1.94-2.14
Zr  0.3094  0.6657  0.6621 [1 per cell]  3 O 1.93-2.13
Zr  0.3214  0.6673  0.4445 [1 per cell]  6 O 2.01-2.23
Zr  0.6523  0.3255  0.8313 [1 per cell]  6 O 1.99-2.17
Zr  0.9910  0.9786  0.7803 [1 per cell]  3 O 1.94-2.15
Ti  0.3079  0.6389  0.1638 [1 per cell]  2 O 1.77-1.81
Ti  0.3194  0.6559  0.9519 [1 per cell]  4 O 1.82-2.03
Ti  0.6479  0.3174  0.1149 [1 per cell]  5 O 1.85-2.07
Ti  0.6525  0.3298  0.3229 [1 per cell]  5 O 1.84-2.05
Ti  0.6515  0.3312  0.6133 [1 per cell]  4 O 1.82-2.02
Ti  0.9958  0.0169  0.2779 [1 per cell]  2 O 1.78-1.80
Si  0.2687  0.9767  0.8907 [1 per cell]  4 O 1.61-1.64
Si  0.2787  0.2798  0.3831 [1 per cell]  4 O 1.61-1.67
Si  0.3302  0.9573  0.5542 [1 per cell]  4 O 1.62-1.63
Si  0.3318  0.3870  0.0568 [1 per cell]  4 O 1.63-1.65
Si  0.9249  0.6029  0.7193 [1 per cell]  4 O 1.61-1.64
Si  0.9285  0.3255  0.2199 [1 per cell]  4 O 1.63-1.65
S  0.0216  0.3718  0.5540 [1 per cell]  4 O 1.48
S  0.0303  0.6459  0.0576 [1 per cell]  4 O 1.48-1.49
S  0.3651  0.0394  0.2194 [1 per cell]  4 O 1.48-1.50
S  0.3683  0.3235  0.7188 [1 per cell]  4 O 1.47-1.48
S  0.5893  0.9407  0.0568 [1 per cell]  4 O 1.46-1.50
S  0.6032  0.6515  0.5540 [1 per cell]  4 O 1.47-1.49
S  0.6530  0.6119  0.2204 [1 per cell]  4 O 1.48-1.50
S  0.6565  0.0474  0.7199 [1 per cell]  4 O 1.47-1.49
S  0.6878  0.7100  0.8899 [1 per cell]  4 O 1.47-1.49
S  0.7032  0.0009  0.3821 [1 per cell]  4 O 1.48-1.49
S  0.9723  0.7022  0.3828 [1 per cell]  4 O 1.46-1.49
S  0.9947  0.2849  0.8904 [1 per cell]  4 O 1.47-1.49
O  0.0013  0.8131  0.3318 [1 per cell]  1 S 1.46
O  0.0031  0.7977  0.0502 [1 per cell]  1 S 1.49
O  0.0194  0.2064  0.8371 [1 per cell]  1 S 1.47
O  0.1047  0.4813  0.5019 [1 per cell]  1 S 1.48
O  0.1093  0.6195  0.0044 [1 per cell]  1 S 1.48
O  0.1166  0.6227  0.7130 [1 per cell]  1 Si 1.62
O  0.1229  0.4961  0.2085 [1 per cell]  1 Si 1.65, 1 Ti 1.81
O  0.1278  0.6820  0.3921 [1 per cell]  1 S 1.49
O  0.1341  0.4444  0.6063 [1 per cell]  1 S 1.48
O  0.1432  0.6836  0.1096 [1 per cell]  1 S 1.48
O  0.1474  0.1784  0.3263 [1 per cell]  1 Si 1.67, 1 Ti 1.78
O  0.1475  0.9441  0.8323 [1 per cell]  1 Si 1.64
O  0.1502  0.4579  0.8997 [1 per cell]  1 S 1.48
O  0.1558  0.9729  0.5459 [1 per cell]  1 Si 1.63
O  0.1572  0.1975  0.0495 [1 per cell]  1 Si 1.63
O  0.1750  0.0118  0.9463 [1 per cell]  1 Si 1.63
O  0.1870  0.0153  0.2286 [1 per cell]  1 S 1.50
O  0.1891  0.1557  0.4397 [1 per cell]  1 Si 1.63
O  0.1905  0.1720  0.7254 [1 per cell]  1 S 1.48
O  0.2864  0.8062  0.9066 [1 per cell]  1 Si 1.64, 1 Ti 1.82
O  0.2953  0.4669  0.3952 [1 per cell]  1 Si 1.61
O  0.2975  0.8316  0.6102 [1 per cell]  1 Si 1.62
O  0.3021  0.4817  0.1146 [1 per cell]  1 Si 1.65, 1 Ti 1.77
O  0.3495  0.8675  0.2098 [1 per cell]  1 S 1.48
O  0.3568  0.4823  0.7112 [1 per cell]  1 S 1.47
O  0.3574  0.8646  0.4967 [1 per cell]  1 Si 1.63
O  0.3585  0.5091  0.0000 [1 per cell]  1 Si 1.63
O  0.4389  0.1534  0.1669 [1 per cell]  1 S 1.49
O  0.4465  0.2923  0.6663 [1 per cell]  1 S 1.48
O  0.4588  0.1439  0.8795 [1 per cell]  1 Si 1.61
O  0.4663  0.2975  0.3674 [1 per cell]  1 Si 1.63
O  0.4694  0.3454  0.7728 [1 per cell]  1 S 1.48
O  0.4771  0.1204  0.2714 [1 per cell]  1 S 1.48
O  0.4815  0.8652  0.0032 [1 per cell]  1 S 1.49
O  0.4903  0.6206  0.5017 [1 per cell]  1 S 1.49
O  0.4976  0.1478  0.5682 [1 per cell]  1 Si 1.63
O  0.4983  0.6363  0.2122 [1 per cell]  1 S 1.50
O  0.5005  0.3640  0.0703 [1 per cell]  1 Si 1.63
O  0.5093  0.8662  0.7137 [1 per cell]  1 S 1.49
O  0.5109  0.8350  0.1091 [1 per cell]  1 S 1.46
O  0.5135  0.6931  0.8971 [1 per cell]  1 S 1.48
O  0.5244  0.6779  0.6066 [1 per cell]  1 S 1.47
O  0.5282  0.8419  0.3887 [1 per cell]  1 S 1.49
O  0.6073  0.1174  0.0641 [1 per cell]  1 S 1.50
O  0.6120  0.4965  0.2727 [1 per cell]  1 S 1.50
O  0.6198  0.1196  0.7731 [1 per cell]  1 S 1.48
O  0.6214  0.4944  0.5610 [1 per cell]  1 S 1.49
O  0.6658  0.5340  0.8822 [1 per cell]  1 S 1.48
O  0.6743  0.1501  0.6671 [1 per cell]  1 S 1.47
O  0.6798  0.1534  0.3735 [1 per cell]  1 S 1.48
O  0.6818  0.5302  0.1684 [1 per cell]  1 S 1.48
O  0.7641  0.9615  0.0475 [1 per cell]  1 S 1.48
O  0.7671  0.8169  0.8367 [1 per cell]  1 S 1.49
O  0.7753  0.8061  0.5440 [1 per cell]  1 S 1.47
O  0.7869  0.9695  0.3312 [1 per cell]  1 S 1.48
O  0.7969  0.7904  0.9417 [1 per cell]  1 S 1.47
O  0.8026  0.2928  0.1633 [1 per cell]  1 Si 1.63
O  0.8050  0.0273  0.4362 [1 per cell]  1 S 1.48
O  0.8051  0.5020  0.6622 [1 per cell]  1 Si 1.64, 1 Ti 1.82
O  0.8086  0.7836  0.2308 [1 per cell]  1 S 1.48
O  0.8164  0.5263  0.3751 [1 per cell]  1 S 1.49
O  0.8187  0.0421  0.7285 [1 per cell]  1 S 1.47
O  0.8354  0.3568  0.2763 [1 per cell]  1 Si 1.63
O  0.8370  0.4942  0.7782 [1 per cell]  1 Si 1.61
O  0.8395  0.3067  0.8840 [1 per cell]  1 S 1.49
O  0.8497  0.3577  0.5623 [1 per cell]  1 S 1.48
O  0.8564  0.4880  0.0651 [1 per cell]  1 S 1.49
O  0.9385  0.7928  0.7246 [1 per cell]  1 Si 1.63
O  0.9406  0.7754  0.4369 [1 per cell]  1 S 1.49
O  0.9520  0.1540  0.2310 [1 per cell]  1 Si 1.65, 1 Ti 1.80
O  0.9608  0.1716  0.9420 [1 per cell]  1 S 1.48
O  0.9934  0.1942  0.5449 [1 per cell]  1 S 1.48


3.
Material: CeNi2P2
Method: DFT, GGA-PBE
State: optimized geometry

Summary:
Volume, Å³/cell: 147.3

Cell lengths 3.9420, 3.9420, 9.4765 Å; angles 90.00, 90.00, 90.00 degrees
Last column: nearest neighbours and their distance in Å.
Space group I4/mmm (No. 139)
Unique sites:
Ce  0.0000  0.0000  0.0000 [2 per cell]  8 P 3.03, 8 Ni 3.08
Ni  0.0000  0.5000  0.2500 [4 per cell]  4 P 2.30
P  0.0000  0.0000  0.3746 [4 per cell]  4 Ni 2.30, 1 P 2.38


4.
Material: CeGa2
Method: DFT, GGA-PBE
State: optimized geometry

Summary:
Volume, Å³/cell: 67.2

Cell lengths 4.2703, 4.2703, 4.2522 Å; angles 90.00, 90.00, 120.00 degrees
Last column: nearest neighbours and their distance in Å.
Space group P6/mmm (No. 191)
Unique sites:
Ce  0.0000  0.0000  0.0000 [1 per cell]  12 Ga 3.26
Ga  0.3333  0.6667  0.5000 [2 per cell]  3 Ga 2.47


5.
Material: Nd3Ho
Method: DFT, GGA-PBE
State: optimized geometry

Summary:
Volume, Å³/cell: 276.1
E above lowest polymorph, eV/atom: 0.009

Cell lengths 5.1768, 5.1768, 10.3036 Å; angles 90.00, 90.00, 90.00 degrees
Last column: nearest neighbours and their distance in Å.
Space group I4/mmm (No. 139)
Unique sites:
Nd  0.0000  0.0000  0.0000 [2 per cell]  8 Nd 3.65, 4 Ho 3.66
Nd  0.0000  0.5000  0.2500 [4 per cell]  4 Ho 3.65, 8 Nd 3.65-3.66
Ho  0.0000  0.0000  0.5000 [2 per cell]  12 Nd 3.65-3.66


6.
Material: PaAl3
Method: DFT, GGA-PBE
State: optimized geometry

Summary:
Volume, Å³/cell: 157.2
E above lowest polymorph, eV/atom: 0.000

Cell lengths 6.2939, 6.2939, 4.5814 Å; angles 90.00, 90.00, 120.00 degrees
Last column: nearest neighbours and their distance in Å.
Space group P6_3/mmc (No. 194)
Unique sites:
Pa  0.3333  0.6667  0.2500 [2 per cell]  12 Al 3.05-3.15
Al  0.1485  0.2969  0.7500 [6 per cell]  6 Al 2.80, 2 Pa 3.05


7.
Material: LiAu
Method: DFT, GGA-PBE
State: optimized geometry

Summary:
Volume, Å³/cell: 96.8

Cell lengths 2.9556, 2.9556, 12.7942 Å; angles 90.00, 90.00, 120.00 degrees
Last column: nearest neighbours and their distance in Å.
Space group R-3m (No. 166, hexagonal axes)
Unique sites:
Li  0.0000  0.0000  0.0000 [3 per cell]  6 Au 2.73, 6 Li 2.96
Au  0.0000  0.0000  0.5000 [3 per cell]  6 Li 2.73, 6 Au 2.96


8.
Material: Na2TaInSiP2O12
Method: DFT, GGA-PBE
State: optimized geometry

Summary:
Volume, Å³/cell: 3160.7

Cell lengths 15.5342, 9.0440, 22.4977 Å; angles 90.00, 90.34, 90.00 degrees
Last column: nearest neighbours and their distance in Å.
Space group Cc (No. 9)
Unique sites:
Na  0.0000  0.9996  0.0000 [4 per cell]  3 O 2.33-2.59
Na  0.0012  0.3123  0.4155 [4 per cell]  4 O 2.29-2.55
Na  0.1610  0.4768  0.8321 [4 per cell]  5 O 2.41-2.65
Na  0.1681  0.1929  0.2561 [4 per cell]  4 O 2.35-2.49
Na  0.3283  0.0071  0.1660 [4 per cell]  5 O 2.39-2.65
Na  0.4776  0.1637  0.5897 [4 per cell]  5 O 2.36-2.60
Ta  0.1597  0.4932  0.4851 [4 per cell]  6 O 1.92-2.10
Ta  0.3255  0.9995  0.3188 [4 per cell]  6 O 1.95-2.07
Ta  0.4906  0.4963  0.1521 [4 per cell]  6 O 1.96-2.09
In  0.1558  0.4950  0.6910 [4 per cell]  6 O 2.03-2.22
In  0.3206  0.0034  0.0243 [4 per cell]  5 O 2.00-2.19
In  0.4934  0.4957  0.3574 [4 per cell]  6 O 2.08-2.21
Si  0.0095  0.3503  0.5884 [4 per cell]  4 O 1.60-1.70
Si  0.1779  0.1481  0.4228 [4 per cell]  4 O 1.58-1.71
Si  0.4906  0.2037  0.7574 [4 per cell]  4 O 1.61-1.70
P  0.1412  0.1440  0.7567 [4 per cell]  4 O 1.51-1.59
P  0.1564  0.2070  0.0927 [4 per cell]  4 O 1.52-1.60
P  0.3068  0.3597  0.5908 [4 per cell]  4 O 1.51-1.59
P  0.3208  0.2922  0.9223 [4 per cell]  4 O 1.52-1.60
P  0.3476  0.3489  0.2570 [4 per cell]  4 O 1.51-1.59
P  0.4729  0.1462  0.4259 [4 per cell]  4 O 1.51-1.60
O  0.0053  0.2006  0.3166 [4 per cell]  1 Si 1.61
O  0.0089  0.1684  0.5971 [4 per cell]  1 Si 1.66
O  0.0490  0.4401  0.6433 [4 per cell]  1 Si 1.60
O  0.0621  0.4379  0.9264 [4 per cell]  1 P 1.58
O  0.0675  0.1182  0.0941 [4 per cell]  1 P 1.60
O  0.0725  0.3885  0.5286 [4 per cell]  1 Si 1.70
O  0.0751  0.4002  0.2548 [4 per cell]  1 Si 1.62
O  0.0783  0.0964  0.4208 [4 per cell]  1 Si 1.62
O  0.0907  0.0725  0.7022 [4 per cell]  1 P 1.59
O  0.0910  0.1227  0.8135 [4 per cell]  1 P 1.51
O  0.1454  0.3201  0.0396 [4 per cell]  1 P 1.58
O  0.1628  0.3062  0.7497 [4 per cell]  1 P 1.51
O  0.1664  0.2868  0.1521 [4 per cell]  1 P 1.53
O  0.1747  0.3366  0.4281 [4 per cell]  1 Si 1.71
O  0.2196  0.0839  0.4815 [4 per cell]  1 Si 1.58
O  0.2276  0.0514  0.7591 [4 per cell]  1 P 1.58
O  0.2300  0.0980  0.0866 [4 per cell]  1 P 1.52
O  0.2337  0.3752  0.9300 [4 per cell]  1 P 1.56
O  0.2369  0.1111  0.3621 [4 per cell]  1 Si 1.68
O  0.2560  0.3883  0.6464 [4 per cell]  1 P 1.51
O  0.2555  0.4048  0.2498 [4 per cell]  1 P 1.52
O  0.2584  0.4268  0.5345 [4 per cell]  1 P 1.59
O  0.3101  0.1834  0.8666 [4 per cell]  1 P 1.60
O  0.3269  0.1954  0.5849 [4 per cell]  1 P 1.52
O  0.3429  0.1747  0.2612 [4 per cell]  1 P 1.58
O  0.3455  0.1986  0.9759 [4 per cell]  1 P 1.52
O  0.3861  0.4105  0.3134 [4 per cell]  1 P 1.51
O  0.3942  0.4014  0.9138 [4 per cell]  1 P 1.52
O  0.3961  0.4417  0.5943 [4 per cell]  1 P 1.58
O  0.4009  0.1033  0.7634 [4 per cell]  1 Si 1.67
O  0.4064  0.3857  0.2015 [4 per cell]  1 P 1.59
O  0.4141  0.0814  0.0835 [4 per cell]  1 Si 1.61
O  0.4214  0.0692  0.3724 [4 per cell]  1 P 1.60
O  0.4281  0.1171  0.4846 [4 per cell]  1 P 1.52
O  0.4798  0.3193  0.6984 [4 per cell]  1 Si 1.70
O  0.4865  0.3107  0.4180 [4 per cell]  1 P 1.51


Table of E_form (eV per formula unit), in record order: -21.5, -46.1, -5.0, -1.8, 0.1, -1.1, -0.8, -52.7